1.
Nd3Pd | PBE-GGA | relaxed

The structure in CIF format:
```
data_Nd3Pd
_symmetry_space_group_name_H-M 'P 1'
_symmetry_Int_Tables_number 1
_cell_length_a 6.376
_cell_length_b 6.376
_cell_length_c 6.376
_cell_angle_alpha 138.24
_cell_angle_beta 138.24
_cell_angle_gamma 60.53
loop_
_symmetry_equiv_pos_as_xyz
'x,y,z'
loop_
_atom_site_label
_atom_site_type_symbol
_atom_site_fract_x
_atom_site_fract_y
_atom_site_fract_z
Nd1 Nd 0.000 0.000 0.000
Nd2 Nd 0.250 0.750 0.500
Nd3 Nd 0.750 0.250 0.500
Pd1 Pd 0.500 0.500 0.000
```

Results
Calculated total energy: -20.0 eV per cell
Energy of formation: -0.13 eV per atom
Total moment: 0.03 μB/atom

2.
Sr2Li2Nb4O13 | PBE-GGA | relaxed

The structure in CIF format:
```
data_Sr2Li2Nb4O13
_symmetry_space_group_name_H-M 'P 1'
_symmetry_Int_Tables_number 1
_cell_length_a 17.490
_cell_length_b 17.490
_cell_length_c 17.490
_cell_angle_alpha 166.85
_cell_angle_beta 166.85
_cell_angle_gamma 18.64
loop_
_symmetry_equiv_pos_as_xyz
'x,y,z'
loop_
_atom_site_label
_atom_site_type_symbol
_atom_site_fract_x
_atom_site_fract_y
_atom_site_fract_z
Sr1 Sr 0.116 0.116 0.000
Sr2 Sr 0.884 0.884 0.000
Li1 Li 0.250 0.750 0.500
Li2 Li 0.750 0.250 0.500
Nb1 Nb 0.321 0.321 0.000
Nb2 Nb 0.444 0.444 0.000
Nb3 Nb 0.556 0.556 0.000
Nb4 Nb 0.679 0.679 0.000
O1 O 0.062 0.562 0.500
O2 O 0.173 0.673 0.500
O3 O 0.266 0.266 0.000
O4 O 0.327 0.827 0.500
O5 O 0.383 0.383 0.000
O6 O 0.438 0.938 0.500
O7 O 0.500 0.500 0.000
O8 O 0.562 0.062 0.500
O9 O 0.617 0.617 0.000
O10 O 0.673 0.173 0.500
O11 O 0.734 0.734 0.000
O12 O 0.827 0.327 0.500
O13 O 0.938 0.438 0.500
```

Results
Calculated total energy: -167.9 eV per cell
Energy of formation: -3.09 eV per atom
Total moment: 0.00 μB/atom

Question: The highest calculated total energy belongs to which entry?
Answer: Nd3Pd

Question: The lowest energy of formation belongs to which entry?
Answer: Sr2Li2Nb4O13